1:
Ca4Mn3AlO10 after structural relaxation, computed with PBE with a Hubbard U.

Geometry as extended XYZ:
```
144
Lattice="10.953 0.010 -0.048 0.017 15.442 0.011 -0.046 0.009 10.866" Properties=species:S:1:pos:R:3 pbc="T T T"
Ca 0.203 1.986 5.257
Ca 0.277 1.901 0.004
Ca 10.935 9.401 5.585
Ca 0.173 9.438 10.629
Ca 5.540 1.961 5.546
Ca 5.676 1.836 10.574
Ca 5.808 9.620 5.358
Ca 5.970 9.703 0.006
Ca 5.379 5.614 0.116
Ca 5.154 5.973 5.493
Ca 5.450 13.485 10.700
Ca 5.352 13.466 5.404
Ca 10.643 5.902 -0.024
Ca 10.797 5.914 5.466
Ca 10.812 13.439 0.023
Ca 10.528 13.624 5.629
Ca 2.798 6.075 2.847
Ca 2.637 5.960 8.153
Ca 2.526 13.871 2.775
Ca 2.667 13.706 8.523
Ca 8.077 6.048 2.677
Ca 7.784 5.962 8.156
Ca 8.074 13.379 2.591
Ca 7.882 13.509 8.081
Ca 2.874 1.948 2.926
Ca 3.028 1.926 8.124
Ca 3.034 9.545 2.845
Ca 2.718 9.542 7.949
Ca 8.034 1.754 2.560
Ca 7.765 1.734 7.913
Ca 8.373 9.573 2.753
Ca 8.484 9.627 8.205
Mn 10.938 0.157 2.683
Mn 10.924 15.413 8.108
Mn 10.921 7.515 2.660
Mn 0.025 7.643 8.198
Mn 5.472 7.780 2.629
Mn 5.456 7.791 8.051
Mn 2.786 15.428 0.076
Mn 2.689 7.776 5.429
Mn 8.178 15.384 0.006
Mn 7.924 0.014 5.439
Mn 8.199 7.721 -0.020
Mn 8.227 7.643 5.414
Mn 2.841 11.419 10.729
Mn 2.680 11.726 5.025
Mn 8.139 3.763 10.699
Mn 8.225 3.880 5.364
Mn 8.372 11.589 0.030
Mn 8.299 11.549 5.469
Mn 10.802 3.894 8.245
Mn 0.003 11.825 2.973
Mn 0.014 11.599 8.282
Mn 5.355 3.900 8.117
Mn 5.605 11.554 2.775
Mn 5.557 11.511 8.211
Al 5.480 15.154 2.527
Al 5.259 15.317 8.113
Al 2.494 0.034 5.662
Al 2.560 7.644 0.209
Al 2.562 3.986 10.559
Al 3.028 3.781 5.229
Al 0.507 3.685 2.636
Al 5.726 4.059 2.930
O 6.019 3.574 1.268
O 6.539 4.170 6.580
O 6.713 11.977 1.152
O 6.563 11.870 6.578
O 4.409 3.402 3.962
O 4.139 3.463 9.874
O 4.493 11.230 4.298
O 4.559 11.254 9.911
O 10.457 2.201 2.708
O 9.939 3.669 10.092
O 10.108 11.283 4.505
O 10.007 11.357 9.993
O 1.503 3.565 4.100
O 1.525 3.336 9.270
O 1.860 11.576 3.058
O 1.813 11.412 9.009
O 7.322 3.724 3.625
O 6.961 3.641 9.154
O 7.294 11.317 3.873
O 7.262 11.387 9.310
O 3.762 4.065 6.945
O 10.029 3.773 6.373
O 9.579 11.859 1.647
O 9.443 12.009 7.035
O 3.925 7.528 1.399
O 3.876 7.503 7.011
O 3.907 0.285 1.838
O 3.666 15.288 7.108
O 9.345 7.633 1.593
O 9.379 7.336 6.938
O 9.303 15.252 1.698
O 9.201 15.316 7.055
O 1.534 0.442 3.884
O 1.485 0.442 9.411
O 1.541 7.862 3.753
O 1.976 7.955 9.394
O 6.349 0.488 3.856
O 6.955 0.079 9.273
O 7.020 7.981 3.765
O 6.967 8.077 9.244
O 4.238 0.158 9.734
O 4.224 8.023 4.280
O 9.820 7.936 4.199
O 9.774 7.849 9.687
O 1.031 7.505 1.122
O 1.166 7.462 6.605
O 1.192 15.390 1.116
O 0.875 0.066 6.403
O 6.633 7.444 1.039
O 6.690 7.349 6.490
O 6.555 15.188 1.173
O 6.360 15.230 6.653
O 10.729 5.274 2.453
O 0.257 5.796 8.518
O 0.097 13.771 3.285
O 0.295 13.485 8.557
O 5.380 5.788 2.989
O 5.352 5.858 8.639
O 5.191 13.480 2.998
O 5.188 13.420 8.380
O 5.393 1.942 7.874
O 5.364 9.722 2.216
O 5.145 9.703 7.703
O 10.886 9.657 7.910
O 1.775 3.341 1.248
O 2.907 1.898 5.598
O 2.494 9.695 0.516
O 2.240 9.981 5.762
O 8.202 1.871 0.228
O 8.108 1.942 5.529
O 8.240 9.725 0.397
O 8.218 9.576 5.855
O 2.820 5.589 5.071
O 2.755 5.726 10.756
O 2.918 13.754 5.085
O 2.921 13.310 0.121
O 8.511 5.716 4.947
O 8.185 5.647 10.746
O 8.312 13.670 4.914
O 8.546 13.592 10.415
```

Values from the calculation:
**Spin magnetization**: 96.000 μB/cell

***

2:
Ca4Mn3AlO10 after structural relaxation, computed with PBE with a Hubbard U.

Geometry as extended XYZ:
```
36
Lattice="7.948 0.000 -0.143 0.000 7.550 0.000 -0.133 0.000 7.604" Properties=species:S:1:pos:R:3 pbc="T T T"
Ca 2.304 1.946 1.642
Ca 1.726 2.009 5.598
Ca 2.304 5.604 1.642
Ca 1.726 5.541 5.598
Ca 5.867 2.034 1.903
Ca 6.082 2.000 5.409
Ca 5.867 5.516 1.903
Ca 6.082 5.551 5.409
Mn 7.785 3.775 7.286
Mn 7.868 3.775 3.459
Mn 4.245 0.000 7.513
Mn 3.825 0.000 3.979
Mn 3.822 3.775 7.395
Mn 3.899 3.775 3.661
Al 7.841 0.000 0.159
Al 0.344 0.000 3.424
O 7.532 3.775 1.563
O 0.095 3.775 5.500
O 3.795 0.000 1.889
O 4.934 0.000 5.687
O 4.127 3.775 1.742
O 0.970 0.000 1.741
O 1.791 0.000 4.478
O 1.874 3.775 7.546
O 1.935 3.775 3.502
O 6.220 0.000 0.833
O 5.700 3.775 6.959
O 5.818 3.775 3.778
O 0.019 1.526 7.064
O 7.437 1.520 3.552
O 0.019 6.024 7.064
O 7.437 6.030 3.552
O 3.579 1.831 7.302
O 3.904 1.914 4.028
O 3.579 5.719 7.302
O 3.904 5.636 4.028
```

Values from the calculation:
**Spin magnetization**: 24.000 μB/cell

***

The structure with the most favorable energy is 2; the runner-up is 47 meV per atom above it.